Sb2TeSe2 (r²SCAN, relaxed); calculated formation energy = -0.23 eV/atom; symmetry = R3m; magnetization = 0.000 μB per cell
1.0
2.067 1.193 10.095
-2.067 1.193 10.095
0.000 -2.386 10.095
Sb Te Se
2 1 2
Direct
0.000 0.000 0.000
0.212 0.212 0.212
0.820 0.820 0.820
0.383 0.383 0.383
0.607 0.607 0.607



ThSbSe (r²SCAN, relaxed); calculated formation energy = -1.45 eV/atom; symmetry = P4/nmm; magnetization = 0.000 μB per cell
1.0
4.302 0.000 0.000
0.000 4.302 0.000
0.000 0.000 8.757
Th Sb Se
2 2 2
Direct
0.250 0.250 0.217
0.750 0.750 0.783
0.250 0.750 0.500
0.750 0.250 0.500
0.250 0.250 0.869
0.750 0.750 0.131



USbSe (r²SCAN, relaxed); calculated formation energy = -1.21 eV/atom; symmetry = P4/nmm; magnetization = 5.507 μB per cell
1.0
4.212 0.000 0.000
0.000 4.212 0.000
0.000 0.000 8.895
U Sb Se
2 2 2
Direct
0.250 0.250 0.210
0.750 0.750 0.790
0.250 0.750 0.500
0.750 0.250 0.500
0.250 0.250 0.871
0.750 0.750 0.129



Zr5Sb3Se (r²SCAN, relaxed); calculated formation energy = -0.95 eV/atom; symmetry = P6_3/mcm; magnetization = 0.000 μB per cell
1.0
8.552 0.000 0.000
-4.276 7.406 0.000
0.000 0.000 6.131
Zr Sb Se
10 6 2
Direct
0.000 0.262 0.250
0.000 0.738 0.750
0.262 0.000 0.250
0.262 0.262 0.750
0.333 0.667 0.000
0.333 0.667 0.500
0.667 0.333 0.000
0.667 0.333 0.500
0.738 0.000 0.750
0.738 0.738 0.250
0.000 0.396 0.750
0.000 0.604 0.250
0.396 0.000 0.750
0.396 0.396 0.250
0.604 0.000 0.250
0.604 0.604 0.750
0.000 0.000 0.000
0.000 0.000 0.500



Sm2Sb5 (r²SCAN, relaxed); calculated formation energy = -0.81 eV/atom; symmetry = P2_1/m; magnetization = 0.000 μB per cell
1.0
13.416 0.000 0.000
0.000 4.250 0.000
-3.308 0.000 14.782
Sm Sb
8 20
Direct
0.049 0.250 0.367
0.331 0.250 0.578
0.336 0.250 0.855
0.393 0.750 0.228
0.607 0.250 0.772
0.664 0.750 0.145
0.669 0.750 0.422
0.951 0.750 0.633
0.032 0.250 0.114
0.138 0.250 0.675
0.141 0.750 0.227
0.143 0.750 0.522
0.150 0.750 0.818
0.284 0.250 0.058
0.292 0.250 0.354
0.420 0.750 0.025
0.424 0.750 0.446
0.424 0.750 0.735
0.576 0.250 0.265
0.576 0.250 0.554
0.580 0.250 0.975
0.708 0.750 0.646
0.716 0.750 0.942
0.850 0.250 0.182
0.857 0.250 0.478
0.859 0.250 0.773
0.862 0.750 0.325
0.968 0.750 0.886



Sm5Sb3 (r²SCAN, relaxed); calculated formation energy = -1.12 eV/atom; symmetry = P6_3/mcm; magnetization = 1.316 μB per cell
1.0
9.202 0.000 0.000
-4.601 7.969 0.000
0.000 0.000 6.436
Sm Sb
10 6
Direct
0.000 0.250 0.250
0.000 0.750 0.750
0.250 0.000 0.250
0.250 0.250 0.750
0.333 0.667 0.000
0.333 0.667 0.500
0.667 0.333 0.000
0.667 0.333 0.500
0.750 0.000 0.750
0.750 0.750 0.250
0.000 0.385 0.750
0.000 0.615 0.250
0.385 0.000 0.750
0.385 0.385 0.250
0.615 0.000 0.250
0.615 0.615 0.750



Sm2Sb (r²SCAN, relaxed); calculated formation energy = -0.99 eV/atom; symmetry = I4/mmm; magnetization = 0.000 μB per cell
1.0
-2.252 2.252 8.754
2.252 -2.252 8.754
2.252 2.252 -8.754
Sm Sb
4 2
Direct
0.000 0.500 0.500
0.179 0.179 0.000
0.500 0.000 0.500
0.821 0.821 0.000
0.361 0.361 0.000
0.639 0.639 0.000



SmSb2 (r²SCAN, relaxed); calculated formation energy = -0.92 eV/atom; symmetry = Cmce; magnetization = 0.000 μB per cell
1.0
3.115 -3.041 0.000
3.115 3.041 0.000
0.000 0.000 18.332
Sm Sb
4 8
Direct
0.140 0.860 0.889
0.360 0.640 0.389
0.640 0.360 0.611
0.860 0.140 0.111
0.121 0.379 0.750
0.135 0.865 0.563
0.365 0.635 0.063
0.379 0.121 0.250
0.621 0.879 0.750
0.635 0.365 0.937
0.865 0.135 0.437
0.879 0.621 0.250



SmSbTe (r²SCAN, relaxed); calculated formation energy = -1.33 eV/atom; symmetry = P4/nmm; magnetization = 0.000 μB per cell
1.0
4.310 0.000 0.000
0.000 4.310 0.000
0.000 0.000 9.496
Sm Sb Te
2 2 2
Direct
0.250 0.250 0.225
0.750 0.750 0.775
0.250 0.750 0.500
0.750 0.250 0.500
0.250 0.250 0.875
0.750 0.750 0.125



TiSnSb (r²SCAN, relaxed); calculated formation energy = -0.32 eV/atom; symmetry = Fddd; magnetization = 0.000 μB per cell
1.0
0.000 4.905 9.746
2.742 0.000 9.746
2.742 4.905 0.000
Ti Sn Sb
4 4 4
Direct
0.001 0.001 0.749
0.251 0.251 0.999
0.749 0.749 0.001
0.999 0.999 0.251
0.042 0.708 0.042
0.292 0.958 0.292
0.708 0.042 0.708
0.958 0.292 0.958
0.298 0.298 0.452
0.452 0.452 0.298
0.548 0.548 0.702
0.702 0.702 0.548



Zr3Sn4Sb2 (r²SCAN, relaxed); calculated formation energy = -0.49 eV/atom; symmetry = C2; magnetization = 0.000 μB per cell
1.0
2.781 -4.816 0.000
2.781 4.816 0.000
-0.039 0.000 7.650
Zr Sn Sb
3 4 2
Direct
0.000 0.000 0.000
0.001 0.486 0.663
0.514 0.999 0.337
0.332 0.668 0.000
0.337 0.155 0.670
0.669 0.331 0.000
0.845 0.663 0.330
0.178 0.330 0.333
0.670 0.822 0.667



Sr11Sb10 (r²SCAN, relaxed); calculated formation energy = -1.16 eV/atom; symmetry = P-1; magnetization = 1.037 μB per cell
1.0
12.341 0.000 0.000
-0.005 12.784 0.000
-6.166 -6.385 9.230
Sr Sb
22 20
Direct
0.058 0.308 0.116
0.065 0.898 0.296
0.170 0.666 0.500
0.173 0.331 0.500
0.188 0.436 0.876
0.188 0.940 0.876
0.269 0.102 0.705
0.344 0.844 0.188
0.392 0.558 0.285
0.393 0.226 0.287
0.442 0.692 0.884
0.558 0.308 0.116
0.607 0.774 0.713
0.608 0.442 0.715
0.656 0.156 0.812
0.731 0.898 0.295
0.812 0.060 0.124
0.812 0.564 0.124
0.827 0.669 0.500
0.830 0.334 0.500
0.935 0.102 0.704
0.942 0.692 0.884
0.000 0.151 0.500
0.000 0.849 0.500
0.110 0.029 0.140
0.110 0.611 0.141
0.123 0.623 0.745
0.248 0.247 0.995
0.363 0.500 0.500
0.387 0.866 0.499
0.391 0.134 0.503
0.470 0.389 0.860
0.470 0.971 0.860
0.530 0.029 0.140
0.530 0.611 0.140
0.609 0.866 0.497
0.613 0.134 0.501
0.637 0.500 0.500
0.752 0.753 0.005
0.877 0.377 0.255
0.890 0.389 0.859
0.890 0.971 0.860